Li3V5O14 (PBE+U, relaxed); energy with MP2020 corrections = -7.761 eV per atom; space-group type = P31m, No. 157; calculated formation energy = -2.287 eV/atom
1.0
4.385 -7.596 0.000
4.385 7.596 0.000
0.000 0.000 4.892
Li V O
3 5 14
Cartesian
2.710 4.694 0.810 Li
3.350 0.000 0.810 Li
2.710 -4.694 0.810 Li
0.986 1.708 2.134 V
4.385 2.532 2.259 V
0.986 -1.708 2.134 V
6.798 0.000 2.134 V
4.385 -2.532 2.259 V
3.619 6.268 1.638 O
0.992 1.718 3.756 O
4.953 4.079 1.599 O
2.762 2.250 1.599 O
4.385 2.532 3.903 O
1.533 0.000 1.638 O
5.441 1.267 1.599 O
0.992 -1.718 3.756 O
6.787 0.000 3.756 O
2.762 -2.250 1.599 O
5.441 -1.267 1.599 O
4.385 -2.532 3.903 O
4.953 -4.079 1.599 O
3.619 -6.268 1.638 O